1 | The following is a PBE calculation of an optimized crystal structure of ZrCrCuS4, from the Materials Project database.

Cell lengths 3.5645, 11.4114, 12.7296 Å; angles 90.00, 90.00, 90.00 degrees
Last column: nearest neighbours and their distance in Å.
Space group Pmn2_1 (No. 31)
Asymmetric unit:
Zr  0.0000  0.1421  0.0000  6 S 2.51-2.67
Zr  0.0000  0.6881  0.1879  6 S 2.49-2.73
Cr  0.0000  0.2095  0.4580  6 S 2.37-2.52
Cr  0.0000  0.6774  0.6693  5 S 2.35-2.43
Cu  0.0000  0.4619  0.3882  3 S 2.28-2.54
Cu  0.0000  0.9838  0.2168  5 S 2.47-2.62
S  0.0000  0.1598  0.6387  1 Cr 2.37, 2 Zr 2.57, 2 Cu 2.62
S  0.0000  0.2967  0.2875  1 Cu 2.28, 3 Cr 2.35-2.39
S  0.0000  0.3562  0.0435  2 Cr 2.43, 1 Zr 2.51
S  0.0000  0.4577  0.7504  2 Zr 2.56, 2 Cu 2.66, 1 Cr 2.71
S  0.0000  0.6401  0.9974  1 Zr 2.49, 2 Cr 2.52, 2 Cu 2.54
S  0.0000  0.8349  0.3574  1 Cu 2.47, 3 Zr 2.56-2.73
S  0.0000  0.8864  0.6471  1 Cr 2.40, 2 Cu 2.48, 2 Zr 2.61
S  0.0000  0.9226  0.9267  2 Cr 2.37

- Magnetic moment: 0.4289 μB per atom

***

2 | The following is a PBE calculation of an optimized crystal structure of ZrCrCuS4, from the Materials Project database.

Cell lengths 13.0809, 3.5874, 6.0790 Å; angles 90.00, 117.24, 90.00 degrees
Last column: nearest neighbours and their distance in Å.
Space group Cm (No. 8)
Asymmetric unit:
Zr  0.0000  0.0000  0.0000  6 S 2.51-2.61
Cr  0.0175  0.5000  0.5555  6 S 2.44-2.48
Cu  0.2578  0.0000  0.2716  6 S 2.41-2.59
S  0.1263  0.5000  0.3202  1 Cr 2.44, 2 Cu 2.59, 2 Zr 2.61
S  0.1401  0.0000  0.8229  1 Cu 2.44, 2 Cr 2.46, 1 Zr 2.51
S  0.3739  0.0000  0.7149  1 Cu 2.41, 1 Cr 2.48, 2 Zr 2.51
S  0.3981  0.5000  0.2829  2 Cr 2.46, 2 Cu 2.54, 1 Zr 2.61

- Magnetic moment: 0.4287 μB per atom

***

The computed energies, referenced to the most stable structure and given in meV per atom, are 1 114; 2 0.

***

1 | The following is a PBE calculation of an optimized crystal structure of YH3O3, from the Materials Project database.

Cell lengths 6.3631, 6.3631, 3.5526 Å; angles 90.00, 90.00, 120.00 degrees
Last column: nearest neighbours and their distance in Å.
Space group P6_3/m (No. 176)
Asymmetric unit:
Y  0.3333  0.6667  0.2500  9 O 2.43-2.49
H  0.1384  0.8598  0.7500  1 O 0.97
O  0.0855  0.3968  0.7500  1 H 0.97

- Magnetic moment: 0.0000 μB per atom

***

2 | The following is a PBE calculation of an optimized crystal structure of YH3O3, from the Materials Project database.

Cell lengths 6.3669, 3.4844, 6.4628 Å; angles 90.00, 118.32, 90.00 degrees
Last column: nearest neighbours and their distance in Å.
Space group Pm (No. 6)
Asymmetric unit:
Y  0.0000  0.0000  0.0000  8 O 2.39-2.52
Y  0.3109  0.5000  0.6509  9 O 2.39-2.66
H  0.3890  0.5000  0.1933  1 O 0.97
H  0.5060  0.0000  0.4612  1 O 0.97
H  0.5135  0.0000  0.0169  1 O 0.97
H  0.7905  0.5000  0.1822  1 O 0.97
H  0.7985  0.5000  0.6310  1 O 0.97
H  0.9209  0.0000  0.4570  1 O 0.97
O  0.0447  0.0000  0.4094  1 H 0.97
O  0.2648  0.5000  0.2402  1 H 0.97
O  0.3412  0.0000  0.9174  1 H 0.97
O  0.5590  0.0000  0.6295  1 H 0.97
O  0.7479  0.5000  0.0164  1 H 0.97
O  0.9703  0.5000  0.7335  1 H 0.97

- Magnetic moment: 0.0000 μB per atom

***

The computed energies, referenced to the most stable structure and given in meV per atom, are 1 0; 2 6.

***

1 | The following is a PBE calculation of an optimized crystal structure of MgTi2O4, from the Materials Project database.

Cell lengths 14.9901, 2.9119, 9.6344 Å; angles 90.00, 129.63, 90.00 degrees
Last column: nearest neighbours and their distance in Å.
Space group C2/m (No. 12)
Asymmetric unit:
Mg  0.1642  0.0000  0.1799  5 O 2.08-2.14
Ti  0.1299  0.0000  0.4490  5 O 1.89-2.09
Ti  0.1495  0.5000  0.8193  6 O 2.00-2.20
O  0.0333  0.0000  0.7320  3 Ti 1.89-2.00
O  0.1520  0.5000  0.6129  3 Ti 2.01, 1 Mg 2.14
O  0.1671  0.5000  0.3375  2 Mg 2.08, 2 Ti 2.09
O  0.2111  0.5000  0.0769  3 Ti 2.02-2.20, 2 Mg 2.12

- Magnetic moment: 0.2636 μB per atom

***

2 | The following is a PBE calculation of an optimized crystal structure of MgTi2O4, from the Materials Project database.

Cell lengths 5.9274, 6.0854, 8.3753 Å; angles 90.00, 90.00, 90.00 degrees
Last column: nearest neighbours and their distance in Å.
Space group Imma (No. 74)
Asymmetric unit:
Mg  0.2500  0.2500  0.2500  6 O 2.11-2.13
Ti  0.0000  0.0000  0.0000  6 O 2.02-2.04
Ti  0.2500  0.2500  0.7500  6 O 2.07-2.14
O  0.0000  0.0025  0.2432  3 Ti 2.04-2.14, 2 Mg 2.11
O  0.2243  0.2500  0.9968  3 Ti 2.02-2.07, 1 Mg 2.13

- Magnetic moment: 0.0009 μB per atom

***

The computed energies, referenced to the most stable structure and given in meV per atom, are 1 46; 2 0.

***

1 | The following is a PBE calculation of an optimized crystal structure of AsS, from the Materials Project database.

Cell lengths 6.8135, 9.0085, 27.1954 Å; angles 81.83, 84.20, 78.42 degrees
Last column: nearest neighbours and their distance in Å.
Space group P1 (No. 1)
Asymmetric unit:
As  0.0000  0.0000  0.0000  3 S 2.25-2.36
As  0.0041  0.3083  0.9161  2 S 2.26-2.27, 1 As 2.49
As  0.0342  0.0876  0.4363  2 S 2.30-2.35, 1 As 2.57
As  0.0419  0.4692  0.7434  1 S 2.26, 2 As 2.48-2.51
As  0.1584  0.6080  0.9998  1 S 2.28, 1 As 2.54
As  0.1837  0.5982  0.8025  1 S 2.28, 1 As 2.48
As  0.2459  0.5202  0.2757  2 S 2.27-2.34
As  0.2651  0.2564  0.3289  2 S 2.29-2.35
As  0.3183  0.0550  0.1377  1 S 2.27, 1 As 2.33
As  0.3810  0.3683  0.0406  2 S 2.25-2.27
As  0.4345  0.7268  0.9493  2 S 2.26-2.33
As  0.4517  0.7391  0.5017  1 S 2.32, 2 As 2.51-2.54
As  0.4757  0.1630  0.5388  1 S 2.28, 2 As 2.51-2.54
As  0.4775  0.5785  0.1499  3 S 2.28-2.33
As  0.5263  0.6588  0.6525  2 S 2.11-2.31
As  0.5467  0.9168  0.4256  3 As 2.47-2.54
As  0.6151  0.1092  0.6241  2 S 2.26-2.30
As  0.6205  0.0931  0.1622  1 S 2.31, 1 As 2.33
As  0.6501  0.1371  0.4537  3 As 2.47-2.57
As  0.7632  0.6576  0.4472  1 S 2.31, 2 As 2.51-2.52
As  0.8054  0.6641  0.7892  1 S 2.31, 2 As 2.51-2.58
As  0.8234  0.2040  0.8578  2 S 2.28-2.29, 1 As 2.49
As  0.8992  0.7331  0.1945  3 S 2.28-2.30
As  0.9837  0.7846  0.6627  3 S 2.28-2.32
S  0.0726  0.9058  0.3805  1 S 2.05
S  0.0813  0.7873  0.0537  2 As 2.25-2.28
S  0.1441  0.1202  0.2750  1 S 2.06
S  0.1533  0.2737  0.0967  2 As 2.27
S  0.1894  0.9292  0.9279  2 As 2.26-2.33
S  0.2258  0.4512  0.8776  2 As 2.26-2.28
S  0.2702  0.5894  0.4687  1 S 2.09, 1 As 2.32
S  0.2704  0.7948  0.6998  2 As 2.31
S  0.3964  0.5475  0.6048  1 As 2.11
S  0.4440  0.9505  0.5934  2 As 2.28-2.30
S  0.4798  0.3953  0.2189  2 As 2.31-2.34
S  0.5778  0.8030  0.0137  1 S 2.04
S  0.5996  0.8797  0.2189  2 As 2.29-2.31
S  0.6039  0.4211  0.0884  2 As 2.25-2.33
S  0.6601  0.0069  0.9871  1 S 2.04
S  0.7002  0.4291  0.8895  2 As 2.27-2.29
S  0.7793  0.8725  0.7282  2 As 2.28-2.31
S  0.7991  0.6176  0.1346  2 As 2.28
S  0.9282  0.0275  0.3205  2 S 2.05-2.06
S  0.9297  0.5261  0.2554  2 As 2.27-2.30
S  0.9385  0.2509  0.7765  2 As 2.26-2.28
S  0.9452  0.0129  0.6095  2 As 2.26-2.32
S  0.9772  0.3041  0.3799  2 As 2.29-2.30
S  0.9884  0.6432  0.5065  1 S 2.09, 1 As 2.31

- Magnetic moment: 0.0000 μB per atom

***

2 | The following is a PBE calculation of an optimized crystal structure of AsS, from the Materials Project database.

Cell lengths 10.7353, 7.6110, 18.9466 Å; angles 90.00, 90.00, 90.00 degrees
Last column: nearest neighbours and their distance in Å.
Space group Pca2_1 (No. 29)
Asymmetric unit:
As  0.1210  0.1303  0.0058  1 S 2.28
As  0.1250  0.3710  0.9102  1 S 2.28
As  0.1368  0.6234  0.0000  1 S 2.27
As  0.1391  0.8821  0.9143  1 S 2.27
As  0.1456  0.6140  0.2436  3 S 2.27-2.37
As  0.1491  0.8908  0.6801  3 S 2.26-2.37
As  0.1541  0.1201  0.3008  3 S 2.28-2.33
As  0.1620  0.3857  0.6182  3 S 2.28-2.33
S  0.1375  0.3906  0.1581  2 As 2.28-2.35
S  0.1418  0.8644  0.1692  2 As 2.26-2.37
S  0.1439  0.1179  0.7640  2 As 2.28-2.35
S  0.1447  0.6406  0.7543  2 As 2.27-2.37
S  0.1572  0.8904  0.3820  2 As 2.27-2.33
S  0.1619  0.6149  0.5369  2 As 2.27-2.33
S  0.1731  0.3646  0.3737  2 As 2.28-2.33
S  0.1801  0.1380  0.5477  2 As 2.28-2.32

- Magnetic moment: 0.0001 μB per atom

***

The computed energies, referenced to the most stable structure and given in meV per atom, are 1 123; 2 0.

***

1 | The following is a PBE calculation of an optimized crystal structure of ZnHg3, from the Materials Project database.

Cell lengths 7.4170, 7.4170, 7.4170 Å; angles 90.00, 90.00, 90.00 degrees
Last column: nearest neighbours and their distance in Å.
Space group Fm-3m (No. 225)
Asymmetric unit:
Zn  0.0000  0.0000  0.0000  8 Hg 3.21
Hg  0.0000  0.0000  0.5000  8 Hg 3.21
Hg  0.2500  0.2500  0.2500  4 Hg 3.21, 4 Zn 3.21

- Magnetic moment: 0.0000 μB per atom

***

2 | The following is a PBE calculation of an optimized crystal structure of ZnHg3, from the Materials Project database.

Cell lengths 4.3869, 4.3869, 10.1057 Å; angles 90.00, 90.00, 90.00 degrees
Last column: nearest neighbours and their distance in Å.
Space group I4/mmm (No. 139)
Asymmetric unit:
Zn  0.0000  0.0000  0.0000  12 Hg 3.10-3.35
Hg  0.0000  0.0000  0.5000  4 Zn 3.10, 8 Hg 3.35
Hg  0.0000  0.5000  0.2500  8 Hg 3.10-3.35, 4 Zn 3.35

- Magnetic moment: 0.0001 μB per atom

***

The computed energies, referenced to the most stable structure and given in meV per atom, are 1 7; 2 0.

***

1 | The following is a PBE calculation of an optimized crystal structure of U3Ga2Si3, from the Materials Project database.

Cell lengths 7.5975, 7.5975, 10.8894 Å; angles 90.00, 90.00, 90.00 degrees
Last column: nearest neighbours and their distance in Å.
Space group I4cm (No. 108)
Asymmetric unit:
U  0.0000  0.0000  0.0000  6 Si 2.72-2.95
U  0.1557  0.3443  0.2730  5 Si 2.88-3.04, 3 Ga 3.01-3.08
Ga  0.1422  0.3578  0.5817  3 Si 2.58-2.65
Si  0.0000  0.0000  0.2501  6 U 2.72-2.88
Si  0.1461  0.3539  0.9567  3 Ga 2.58-2.65

- Magnetic moment: 0.8354 μB per atom

***

2 | The following is a PBE calculation of an optimized crystal structure of U3Ga2Si3, from the Materials Project database.

Cell lengths 10.5845, 11.0986, 10.2121 Å; angles 90.00, 90.00, 90.00 degrees
Last column: nearest neighbours and their distance in Å.
Space group Fmm2 (No. 42)
Asymmetric unit:
U  0.0000  0.1491  0.0000  3 U 2.60-2.63, 3 Si 2.90-2.91
U  0.0000  0.1520  0.6352  1 U 2.60, 1 Si 2.81
U  0.1559  0.0000  0.1177  2 U 2.63, 1 Si 2.93, 1 Ga 2.93
Ga  0.1378  0.0000  0.4259  3 Si 2.52-2.53
Ga  0.2500  0.2500  0.2917  2 Si 2.55-2.56
Si  0.0000  0.1538  0.3119  2 Ga 2.53, 1 U 2.81
Si  0.1477  0.0000  0.8193  1 Ga 2.52
Si  0.2500  0.2500  0.0410  2 Ga 2.55-2.56

- Magnetic moment: 0.2362 μB per atom

***

The computed energies, referenced to the most stable structure and given in meV per atom, are 1 0; 2 124.

***

1 | The following is a PBE calculation of an optimized crystal structure of NiI2N2, from the Materials Project database.

Cell lengths 7.2285, 7.4225, 3.6851 Å; angles 90.00, 90.00, 90.00 degrees
Last column: nearest neighbours and their distance in Å.
Space group Pbam (No. 55)
Asymmetric unit:
Ni  0.0000  0.0000  0.0000  2 N 1.79
I  0.2269  0.1906  0.5000  2 N 2.24
N  0.1851  0.8393  0.0000  1 Ni 1.79

- Magnetic moment: 0.0000 μB per atom

***

2 | The following is a PBE calculation of an optimized crystal structure of NiI2N2, from the Materials Project database.

Cell lengths 6.3773, 7.2781, 3.5530 Å; angles 90.00, 90.00, 90.00 degrees
Last column: nearest neighbours and their distance in Å.
Space group Cmmm (No. 65)
Asymmetric unit:
Ni  0.0000  0.0000  0.0000  2 N 1.78
I  0.0000  0.2842  0.5000  2 Ni 2.73, 4 N 2.76
N  0.2202  0.5000  0.0000  1 Ni 1.78

- Magnetic moment: 0.0003 μB per atom

***

The computed energies, referenced to the most stable structure and given in meV per atom, are 1 0; 2 296.